[1]
Material: NaV6O11
Method: DFT, PBE with a Hubbard U
State: optimized geometry

Excess energy over the best structure of this formula in the dataset = 0.372 eV/atom
Total magnetization = 0.5000 μB per atom

The structure in CIF format:
```
data_NaV6O11
_chemical_formula_sum 'Na2 V12 O22'
_symmetry_space_group_name_H-M 'P 1'
_symmetry_Int_Tables_number 1
_symmetry_space_group_name_Hall 'P 1'
_cell_length_a 5.8746
_cell_length_b 5.8746
_cell_length_c 13.6944
_cell_angle_alpha 90.00
_cell_angle_beta 90.00
_cell_angle_gamma 120.00
loop_
_atom_site_label
_atom_site_fract_x
_atom_site_fract_y
_atom_site_fract_z
Na1 0.6667 0.3333 0.7500
Na2 0.3333 0.6667 0.2500
V1 0.0000 0.5000 0.5000
V2 0.0000 0.0000 0.8498
V3 0.0000 0.5000 0.0000
V4 0.5000 0.5000 0.0000
V5 0.0000 0.0000 0.1502
V6 0.0000 0.0000 0.6502
V7 0.5000 0.0000 0.0000
V8 0.0000 0.0000 0.3498
V9 0.6667 0.3333 0.2500
V10 0.5000 0.0000 0.5000
V11 0.5000 0.5000 0.5000
V12 0.3333 0.6667 0.7500
O1 0.6667 0.3333 0.4134
O2 0.8305 0.1695 0.5727
O3 0.8668 0.7337 0.7500
O4 0.3333 0.6667 0.5866
O5 0.6610 0.8305 0.4273
O6 0.1695 0.3390 0.4273
O7 0.3333 0.6667 0.9134
O8 0.1332 0.8668 0.2500
O9 0.3390 0.1695 0.9273
O10 0.1695 0.8305 0.4273
O11 0.2663 0.1332 0.7500
O12 0.6610 0.8305 0.0727
O13 0.6667 0.3333 0.0866
O14 0.3390 0.1695 0.5727
O15 0.1695 0.8305 0.0727
O16 0.8305 0.6610 0.9273
O17 0.1695 0.3390 0.0727
O18 0.8668 0.1332 0.7500
O19 0.7337 0.8668 0.2500
O20 0.8305 0.6610 0.5727
O21 0.8305 0.1695 0.9273
O22 0.1332 0.2663 0.2500
```

***

[2]
Material: Na2HgMoF6
Method: DFT, PBE with a Hubbard U
State: optimized geometry

Total magnetization = 0.2002 μB per atom

The structure in CIF format:
```
data_Na2HgMoF6
_chemical_formula_sum 'Na2 Hg1 Mo1 F6'
_symmetry_space_group_name_H-M 'P 1'
_symmetry_Int_Tables_number 1
_symmetry_space_group_name_Hall 'P 1'
_cell_length_a 6.8053
_cell_length_b 6.8053
_cell_length_c 6.8053
_cell_angle_alpha 60.00
_cell_angle_beta 60.00
_cell_angle_gamma 60.00
loop_
_atom_site_label
_atom_site_fract_x
_atom_site_fract_y
_atom_site_fract_z
F1 0.7943 0.7943 0.2057
F2 0.2057 0.7943 0.7943
F3 0.7943 0.2057 0.7943
F4 0.7943 0.2057 0.2057
F5 0.2057 0.7943 0.2057
F6 0.2057 0.2057 0.7943
Na1 0.2500 0.2500 0.2500
Na2 0.7500 0.7500 0.7500
Mo1 0.0000 0.0000 0.0000
Hg1 0.5000 0.5000 0.5000
```

***

[3]
Material: CaWF4
Method: DFT, PBE with a Hubbard U
State: optimized geometry

Total magnetization = 0.6667 μB per atom

The structure in CIF format:
```
data_CaWF4
_chemical_formula_sum 'Ca2 W2 F8'
_symmetry_space_group_name_H-M 'P 1'
_symmetry_Int_Tables_number 1
_symmetry_space_group_name_Hall 'P 1'
_cell_length_a 6.9727
_cell_length_b 6.9727
_cell_length_c 6.9727
_cell_angle_alpha 132.55
_cell_angle_beta 132.55
_cell_angle_gamma 69.37
loop_
_atom_site_label
_atom_site_fract_x
_atom_site_fract_y
_atom_site_fract_z
F1 0.3219 0.8219 0.8614
F2 0.6781 0.1781 0.1386
F3 0.0394 0.5394 0.8614
F4 0.1781 0.0394 0.5000
F5 0.9606 0.4606 0.1386
F6 0.4606 0.3219 0.5000
F7 0.5394 0.6781 0.5000
F8 0.8219 0.9606 0.5000
W1 0.0000 0.5000 0.5000
W2 0.5000 0.0000 0.5000
Ca1 0.2500 0.2500 0.0000
Ca2 0.7500 0.7500 0.0000
```

***

[4]
Material: NaCo2H3Se2O10
Method: DFT, PBE with a Hubbard U
State: optimized geometry

Excess energy over the best structure of this formula in the dataset = 0.000 eV/atom
Total magnetization = 0.0000 μB per atom

The structure in CIF format:
```
data_NaCo2H3Se2O10
_chemical_formula_sum 'Na2 Co4 H6 Se4 O20'
_symmetry_space_group_name_H-M 'P 1'
_symmetry_Int_Tables_number 1
_symmetry_space_group_name_Hall 'P 1'
_cell_length_a 6.5233
_cell_length_b 7.7459
_cell_length_c 9.0416
_cell_angle_alpha 99.12
_cell_angle_beta 90.01
_cell_angle_gamma 114.91
loop_
_atom_site_label
_atom_site_fract_x
_atom_site_fract_y
_atom_site_fract_z
H1 0.3877 0.7760 0.0782
H2 0.1099 0.2195 0.4221
H3 0.9933 0.9865 0.5093
H4 0.6097 0.2195 0.9220
H5 0.4929 0.9863 0.0093
H6 0.8881 0.7762 0.5782
O1 0.9312 0.8620 0.1088
O2 0.4591 0.9188 0.1094
O3 0.4135 0.2518 0.6480
O4 0.7443 0.4891 0.9744
O5 0.9133 0.2517 0.1480
O6 0.1650 0.7540 0.3427
O7 0.4308 0.8619 0.6088
O8 0.9595 0.9189 0.6095
O9 0.5756 0.1511 0.3812
O10 0.5891 0.7543 0.3427
O11 0.7605 0.5207 0.5204
O12 0.0396 0.0790 0.3857
O13 0.3387 0.2520 0.1483
O14 0.2602 0.5207 0.0205
O15 0.8386 0.2518 0.6481
O16 0.2446 0.4890 0.4743
O17 0.0758 0.1513 0.8812
O18 0.5392 0.0789 0.8856
O19 0.0889 0.7541 0.8427
O20 0.6651 0.7543 0.8429
Se1 0.6489 0.2976 0.5543
Se2 0.3553 0.7106 0.4383
Se3 0.1489 0.2976 0.0544
Se4 0.8554 0.7106 0.9384
Na1 0.2520 0.5041 0.7468
Na2 0.7520 0.5041 0.2468
Co1 0.2565 0.0060 0.7499
Co2 0.7561 0.0060 0.2498
Co3 0.2497 0.0059 0.2500
Co4 0.7498 0.0060 0.7500
```

***

[5]
Material: LiTiFeO4
Method: DFT, PBE with a Hubbard U
State: optimized geometry

Excess energy over the best structure of this formula in the dataset = 0.038 eV/atom
Total magnetization = 0.7142 μB per atom

The structure in CIF format:
```
data_LiTiFeO4
_chemical_formula_sum 'Li4 Ti4 Fe4 O16'
_symmetry_space_group_name_H-M 'P 1'
_symmetry_Int_Tables_number 1
_symmetry_space_group_name_Hall 'P 1'
_cell_length_a 2.9484
_cell_length_b 8.9992
_cell_length_c 10.7854
_cell_angle_alpha 90.00
_cell_angle_beta 90.00
_cell_angle_gamma 90.00
loop_
_atom_site_label
_atom_site_fract_x
_atom_site_fract_y
_atom_site_fract_z
Li1 0.2500 0.7456 0.8669
Li2 0.2500 0.2456 0.6331
Li3 0.7500 0.7544 0.3669
Li4 0.7500 0.2544 0.1331
Fe1 0.2500 0.5617 0.6110
Fe2 0.2500 0.0617 0.8890
Fe3 0.7500 0.9383 0.1110
Fe4 0.7500 0.4383 0.3890
O1 0.7500 0.9127 0.9234
O2 0.2500 0.7882 0.1546
O3 0.7500 0.6185 0.9826
O4 0.7500 0.7118 0.6546
O5 0.7500 0.2118 0.8454
O6 0.2500 0.9848 0.7087
O7 0.7500 0.0152 0.2913
O8 0.2500 0.2882 0.3454
O9 0.7500 0.4127 0.5766
O10 0.2500 0.8815 0.4826
O11 0.7500 0.1185 0.5174
O12 0.2500 0.5873 0.4234
O13 0.2500 0.4848 0.7913
O14 0.2500 0.0873 0.0766
O15 0.2500 0.3815 0.0174
O16 0.7500 0.5152 0.2087
Ti1 0.2500 0.5861 0.1071
Ti2 0.2500 0.0861 0.3929
Ti3 0.7500 0.4139 0.8929
Ti4 0.7500 0.9139 0.6071
```

***

[6]
Material: Li12Co3NiP4C4O28
Method: DFT, PBE with a Hubbard U
State: optimized geometry

Total magnetization = 0.2115 μB per atom

The structure in CIF format:
```
data_Li12Co3NiP4C4O28
_chemical_formula_sum 'Li12 Co3 Ni1 P4 C4 O28'
_symmetry_space_group_name_H-M 'P 1'
_symmetry_Int_Tables_number 1
_symmetry_space_group_name_Hall 'P 1'
_cell_length_a 6.4365
_cell_length_b 8.3996
_cell_length_c 9.9856
_cell_angle_alpha 85.01
_cell_angle_beta 90.00
_cell_angle_gamma 90.00
loop_
_atom_site_label
_atom_site_fract_x
_atom_site_fract_y
_atom_site_fract_z
Co1 0.0000 0.3308 0.8948
Co2 0.5000 0.6684 0.1052
Co3 0.5000 0.6683 0.6046
O1 0.0000 0.4191 0.5848
O2 0.0000 0.4197 0.0850
O3 0.3127 0.3079 0.9122
O4 0.5000 0.9270 0.5260
O5 0.6873 0.3079 0.9122
O6 0.5000 0.5803 0.9143
O7 0.1875 0.6915 0.0890
O8 0.0000 0.1570 0.2563
O9 0.0000 0.0724 0.9743
O10 0.0000 0.5630 0.2967
O11 0.0000 0.8926 0.3204
O12 0.3128 0.3083 0.4130
O13 0.0000 0.1539 0.7561
O14 0.5000 0.8458 0.2443
O15 0.5000 0.1098 0.1800
O16 0.5000 0.5803 0.4136
O17 0.5000 0.4339 0.2034
O18 0.5000 0.1094 0.6804
O19 0.1873 0.6918 0.5870
O20 0.5000 0.4337 0.7038
O21 0.6872 0.3083 0.4130
O22 0.0000 0.0759 0.4746
O23 0.5000 0.9269 0.0261
O24 0.5000 0.8454 0.7443
O25 0.0000 0.8898 0.8199
O26 0.8127 0.6918 0.5870
O27 0.0000 0.5653 0.7951
O28 0.8125 0.6915 0.0890
P1 0.0000 0.5851 0.1402
P2 0.5000 0.4126 0.3607
P3 0.5000 0.4129 0.8604
P4 0.0000 0.5858 0.6384
Ni1 0.0000 0.3320 0.3967
C1 0.5000 0.9629 0.6494
C2 0.0000 0.0368 0.8509
C3 0.0000 0.0399 0.3510
C4 0.5000 0.9634 0.1493
Li1 0.7713 0.7227 0.8748
Li2 0.0000 0.9026 0.6172
Li3 0.2299 0.7231 0.3757
Li4 0.0000 0.9018 0.1174
Li5 0.7294 0.2772 0.1247
Li6 0.5000 0.0981 0.3828
Li7 0.2713 0.2773 0.6230
Li8 0.2287 0.7227 0.8748
Li9 0.7701 0.7231 0.3757
Li10 0.2706 0.2772 0.1247
Li11 0.5000 0.0979 0.8829
Li12 0.7287 0.2773 0.6230
```

***

Number 1: E -130.27 eV per formula unit. Number 2: E -41.65 eV per formula unit. Number 3: E -33.78 eV per formula unit. Number 4: E -96.80 eV per formula unit. Number 5: E -51.12 eV per formula unit. Number 6: E -339.59 eV per formula unit.